# MnAu3

A relaxed structure of MnAu3 (GGA-PBE, the Materials Project database).

Lattice parameters (Å, degrees): 8.950 8.950 8.950 19.64 19.64 19.64
Positions (direct):
Au: 0.500 0.500 0.500
Mn: 0.000 0.000 0.000
Au: 0.744 0.744 0.744
Au: 0.256 0.256 0.256

Values from the calculation:
Calculated total energy, eV/cell: -18.9
Total magnetic moment, μB per formula unit: 4.04
Space-group type: R-3m, No. 166
Energy of formation from the pure elements, eV/atom: 0.03


# MnAu4

A relaxed structure of MnAu4 (GGA-PBE, the Materials Project database).

Lattice parameters (Å, degrees): 4.063 5.056 5.056 80.71 66.31 66.31
Positions (direct):
Au: 0.796 0.602 0.807
Au: 0.204 0.398 0.193
Au: 0.397 0.807 0.398
Au: 0.603 0.193 0.602
Mn: 0.000 0.000 0.000

Values from the calculation:
Calculated total energy, eV/cell: -22.7
E above lowest polymorph, eV/atom: 0.000
Space-group type: I4/m, No. 87
Energy of formation from the pure elements, eV/atom: -0.08


# MnAu

A relaxed structure of MnAu (GGA-PBE, the Materials Project database).

Lattice parameters (Å, degrees): 3.226 3.226 3.226 90.00 90.00 90.00
Positions (direct):
Mn: 0.500 0.500 0.500
Au: 0.000 0.000 0.000

Values from the calculation:
Calculated total energy, eV/cell: -12.5
Space-group type: Pm-3m, No. 221
Energy of formation from the pure elements, eV/atom: -0.01


# MnAu3

A relaxed structure of MnAu3 (GGA-PBE, the Materials Project database).

Lattice parameters (Å, degrees): 5.833 5.833 4.754 90.00 90.00 120.00
Positions (direct):
Au: 0.339 0.169 0.750
Au: 0.169 0.339 0.250
Au: 0.661 0.831 0.250
Mn: 0.333 0.667 0.750
Au: 0.831 0.169 0.750
Au: 0.831 0.661 0.750
Mn: 0.667 0.333 0.250
Au: 0.169 0.831 0.250

Values from the calculation:
Calculated total energy, eV/cell: -38.4
Space-group type: P6_3/mmc, No. 194
Energy of formation from the pure elements, eV/atom: -0.06


# Mn3Au

A relaxed structure of Mn3Au (GGA-PBE, the Materials Project database).

Lattice parameters (Å, degrees): 4.419 4.419 9.281 90.00 90.00 90.00
Positions (direct):
Mn: 0.000 0.500 0.165
Mn: 0.500 0.500 0.678
Mn: 0.000 0.500 0.835
Mn: 0.000 0.000 0.328
Mn: 0.000 0.000 0.672
Mn: 0.500 0.000 0.835
Au: 0.000 0.000 0.000
Mn: 0.500 0.000 0.165
Mn: 0.500 0.500 0.000
Au: 0.000 0.500 0.500
Mn: 0.500 0.500 0.322
Au: 0.500 0.000 0.500

Values from the calculation:
Calculated total energy, eV/cell: -88.7
Total magnetic moment, μB per formula unit: 10.62
Space-group type: P4/mmm, No. 123
Energy of formation from the pure elements, eV/atom: 0.30


# MnAu3

A relaxed structure of MnAu3 (GGA-PBE, the Materials Project database).

Lattice parameters (Å, degrees): 4.081 4.081 4.081 90.00 90.00 90.00
Positions (direct):
Mn: 0.000 0.000 0.000
Au: 0.000 0.500 0.500
Au: 0.500 0.000 0.500
Au: 0.500 0.500 0.000

Values from the calculation:
Calculated total energy, eV/cell: -19.0
Total magnetic moment, μB per formula unit: 4.36
Space-group type: Pm-3m, No. 221
Energy of formation from the pure elements, eV/atom: 0.00


# MnAu

A relaxed structure of MnAu (GGA-PBE, the Materials Project database).

Lattice parameters (Å, degrees): 3.189 3.189 3.310 90.00 90.00 90.00
Positions (direct):
Mn: 0.500 0.500 0.500
Au: 0.000 0.000 0.000

Values from the calculation:
Calculated total energy, eV/cell: -12.5
Total magnetic moment, μB per formula unit: 4.13
Space-group type: P4/mmm, No. 123
Energy of formation from the pure elements, eV/atom: -0.01


# MnAu4

A relaxed structure of MnAu4 (GGA-PBE, the Materials Project database).

Lattice parameters (Å, degrees): 11.521 11.521 11.521 14.96 14.96 14.96
Positions (direct):
Au: 0.202 0.202 0.202
Au: 0.395 0.395 0.395
Au: 0.798 0.798 0.798
Mn: 0.000 0.000 0.000
Au: 0.605 0.605 0.605

Values from the calculation:
Calculated total energy, eV/cell: -22.1
E above lowest polymorph, eV/atom: 0.113
Total magnetic moment, μB per formula unit: 3.94
Space-group type: R-3m, No. 166
Energy of formation from the pure elements, eV/atom: 0.03


# Mn2Au5

A relaxed structure of Mn2Au5 (GGA-PBE, the Materials Project database).

Lattice parameters (Å, degrees): 5.049 5.049 6.635 83.53 83.53 45.90
Positions (direct):
Au: 0.863 0.863 0.433
Mn: 0.576 0.576 0.281
Mn: 0.424 0.424 0.719
Au: 0.714 0.714 0.855
Au: 0.137 0.137 0.567
Au: 0.286 0.286 0.145
Au: 0.000 0.000 0.000

Values from the calculation:
Calculated total energy, eV/cell: -35.3
Space-group type: C2/m, No. 12
Energy of formation from the pure elements, eV/atom: -0.08


# MnPd2Au

A relaxed structure of MnPd2Au (GGA-PBE, the Materials Project database).

Lattice parameters (Å, degrees): 4.500 4.500 4.500 60.00 60.00 60.00
Positions (direct):
Pd: 0.750 0.750 0.750
Mn: 0.000 0.000 0.000
Au: 0.500 0.500 0.500
Pd: 0.250 0.250 0.250

Values from the calculation:
Calculated total energy, eV/cell: -23.6
Space-group type: Fm-3m, No. 225
Energy of formation from the pure elements, eV/atom: -0.20


# MnSnAu

A relaxed structure of MnSnAu (GGA-PBE, the Materials Project database).

Lattice parameters (Å, degrees): 4.513 4.513 4.513 60.00 60.00 60.00
Positions (direct):
Sn: 0.000 0.000 0.000
Mn: 0.500 0.500 0.500
Au: 0.250 0.250 0.250

Values from the calculation:
Calculated total energy, eV/cell: -16.6
Total magnetic moment, μB per formula unit: 4.05
Space-group type: F-43m, No. 216
Energy of formation from the pure elements, eV/atom: -0.05


# Y3MnAu5

A relaxed structure of Y3MnAu5 (GGA-PBE, the Materials Project database).

Lattice parameters (Å, degrees): 7.860 7.860 7.860 66.13 66.13 66.13
Positions (direct):
Au: 0.552 0.317 0.941
Y: 0.621 0.891 0.192
Mn: 0.655 0.655 0.655
Y: 0.379 0.109 0.808
Au: 0.683 0.059 0.448
Au: 0.448 0.683 0.059
Y: 0.192 0.621 0.891
Au: 0.000 0.000 0.000
Au: 0.198 0.198 0.198
Au: 0.317 0.941 0.552
Au: 0.941 0.552 0.317
Au: 0.059 0.448 0.683
Y: 0.808 0.379 0.109
Y: 0.891 0.192 0.621
Y: 0.109 0.808 0.379
Au: 0.802 0.802 0.802
Mn: 0.345 0.345 0.345
Au: 0.500 0.500 0.500

Values from the calculation:
Calculated total energy, eV/cell: -102.5
Total magnetic moment, μB per formula unit: 3.88
Space-group type: R-3, No. 148
Energy of formation from the pure elements, eV/atom: -0.70